Entry 1:
DFT (GGA-PBE) results for a relaxed Ca2Hg crystal.

Lattice parameters (Å, degrees): 5.1303 7.4415 9.9187 90.00 90.00 90.00
With the nearest neighbours (Å) after each atom.
Element x y z (fractional)
Hg (0.2500, 0.2311, 0.1138)  7 Ca 3.20-3.35
Hg (0.2500, 0.7311, 0.3862)  7 Ca 3.20-3.35
Hg (0.7500, 0.2689, 0.6138)  7 Ca 3.20-3.35
Hg (0.7500, 0.7689, 0.8862)  7 Ca 3.20-3.35
Ca (0.2500, 0.0294, 0.8114)  5 Hg 3.30-3.69, 2 Ca 3.66
Ca (0.7500, 0.9706, 0.1886)  5 Hg 3.30-3.69, 2 Ca 3.66
Ca (0.2500, 0.5294, 0.6886)  5 Hg 3.30-3.69, 2 Ca 3.66
Ca (0.2500, 0.6592, 0.0679)  4 Hg 3.20-3.24
Ca (0.7500, 0.8408, 0.5679)  4 Hg 3.20-3.24
Ca (0.2500, 0.1592, 0.4321)  4 Hg 3.20-3.24
Ca (0.7500, 0.3408, 0.9321)  4 Hg 3.20-3.24
Ca (0.7500, 0.4706, 0.3114)  5 Hg 3.30-3.69, 2 Ca 3.66

Calculated values
**Space group**: Pnma (62)
**Energy of formation**: -38.73 kJ per mole of atoms
**Uncorrected energy**: -1.840 eV/atom

Entry 2:
DFT (GGA-PBE) results for a relaxed CaHg3 crystal.

Lattice parameters (Å, degrees): 6.8365 6.8365 5.2159 90.00 90.00 122.87
With the nearest neighbours (Å) after each atom.
Element x y z (fractional)
Hg (0.1657, 0.8343, 0.2500)  8 Hg 3.23-3.46, 4 Ca 3.27-3.29
Hg (0.8343, 0.1657, 0.7500)  8 Hg 3.23-3.46, 4 Ca 3.27-3.29
Hg (0.1647, 0.3276, 0.2500)  8 Hg 3.22-3.46, 4 Ca 3.26-3.42
Hg (0.8353, 0.6724, 0.7500)  8 Hg 3.22-3.46, 4 Ca 3.26-3.42
Hg (0.3276, 0.1647, 0.7500)  8 Hg 3.22-3.46, 4 Ca 3.26-3.42
Hg (0.6724, 0.8353, 0.2500)  8 Hg 3.22-3.46, 4 Ca 3.26-3.42
Ca (0.6669, 0.3331, 0.2500)  12 Hg 3.26-3.42
Ca (0.3331, 0.6669, 0.7500)  12 Hg 3.26-3.42

Calculated values
**Total magnetic moment**: 0.00 μB/cell
**Space group**: Cmcm (63)
**Energy of formation**: -37.74 kJ per mole of atoms
**Uncorrected energy**: -1.120 eV/atom

Entry 3:
DFT (GGA-PBE) results for a relaxed CaHgI4O8 crystal.

Lattice parameters (Å, degrees): 13.7456 13.7456 13.4146 90.00 90.00 90.00
With the nearest neighbours (Å) after each atom.
Element x y z (fractional)
O (0.3401, 0.4204, 0.2041)  1 I 1.83
O (0.4700, 0.8811, 0.6113)  1 I 1.89
O (0.5796, 0.3401, 0.7041)  1 I 1.83
O (0.1842, 0.5062, 0.6831)  1 I 1.84
O (0.3158, 0.0062, 0.6831)  1 I 1.84
O (0.9700, 0.6189, 0.3887)  1 I 1.89
O (0.9204, 0.8401, 0.2959)  1 I 1.83
O (0.4204, 0.6599, 0.2959)  1 I 1.83
O (0.6189, 0.0300, 0.1113)  1 I 1.89
O (0.8158, 0.4938, 0.6831)  1 I 1.84
O (0.5300, 0.1189, 0.6113)  1 I 1.89
O (0.6842, 0.9938, 0.3169)  1 I 1.84
O (0.8401, 0.0796, 0.7959)  1 I 1.83
O (0.5601, 0.4102, 0.8939)  1 I 1.89
O (0.9102, 0.0601, 0.3939)  1 I 1.89
O (0.0898, 0.9399, 0.3939)  1 I 1.89
O (0.9938, 0.3158, 0.1831)  1 I 1.84
O (0.1189, 0.4700, 0.1113)  1 I 1.89
O (0.5062, 0.8158, 0.8169)  1 I 1.84
O (0.1189, 0.4700, 0.8887)  1 I 1.89
O (0.8158, 0.4938, 0.3169)  1 I 1.84
O (0.4938, 0.1842, 0.1831)  1 I 1.84
O (0.9102, 0.0601, 0.6061)  1 I 1.89
O (0.0062, 0.6842, 0.1831)  1 I 1.84
O (0.4700, 0.8811, 0.3887)  1 I 1.89
O (0.5062, 0.8158, 0.1831)  1 I 1.84
O (0.5898, 0.5601, 0.3939)  1 I 1.89
O (0.9399, 0.9102, 0.8939)  1 I 1.89
O (0.9700, 0.6189, 0.6113)  1 I 1.89
O (0.0601, 0.0898, 0.1061)  1 I 1.89
O (0.9204, 0.8401, 0.7041)  1 I 1.83
O (0.8401, 0.0796, 0.2041)  1 I 1.83
O (0.6842, 0.9938, 0.6831)  1 I 1.84
O (0.0796, 0.1599, 0.7041)  1 I 1.83
O (0.0062, 0.6842, 0.8169)  1 I 1.84
O (0.0601, 0.0898, 0.8939)  1 I 1.89
O (0.6599, 0.5796, 0.2041)  1 I 1.83
O (0.5601, 0.4102, 0.1061)  1 I 1.89
O (0.4938, 0.1842, 0.8169)  1 I 1.84
O (0.0300, 0.3811, 0.3887)  1 I 1.89
O (0.0300, 0.3811, 0.6113)  1 I 1.89
O (0.4399, 0.5898, 0.1061)  1 I 1.89
O (0.8811, 0.5300, 0.1113)  1 I 1.89
O (0.5796, 0.3401, 0.2959)  1 I 1.83
O (0.9938, 0.3158, 0.8169)  1 I 1.84
O (0.0796, 0.1599, 0.2959)  1 I 1.83
O (0.5300, 0.1189, 0.3887)  1 I 1.89
O (0.1842, 0.5062, 0.3169)  1 I 1.84
O (0.3401, 0.4204, 0.7959)  1 I 1.83
O (0.3158, 0.0062, 0.3169)  1 I 1.84
O (0.1599, 0.9204, 0.7959)  1 I 1.83
O (0.0898, 0.9399, 0.6061)  1 I 1.89
O (0.5898, 0.5601, 0.6061)  1 I 1.89
O (0.3811, 0.9700, 0.8887)  1 I 1.89
O (0.4102, 0.4399, 0.6061)  1 I 1.89
O (0.3811, 0.9700, 0.1113)  1 I 1.89
O (0.9399, 0.9102, 0.1061)  1 I 1.89
O (0.4204, 0.6599, 0.7041)  1 I 1.83
O (0.1599, 0.9204, 0.2041)  1 I 1.83
O (0.6599, 0.5796, 0.7959)  1 I 1.83
O (0.4102, 0.4399, 0.3939)  1 I 1.89
O (0.8811, 0.5300, 0.8887)  1 I 1.89
O (0.4399, 0.5898, 0.8939)  1 I 1.89
O (0.6189, 0.0300, 0.8887)  1 I 1.89
I (0.2552, 0.3936, 0.6947)  2 O 1.83-1.84
I (0.5955, 0.0663, 0.5000)  2 O 1.89
I (0.0663, 0.4045, 0.0000)  2 O 1.89
I (0.0394, 0.8654, 0.5000)  2 O 1.89
I (0.7552, 0.1064, 0.6947)  2 O 1.83-1.84
I (0.1064, 0.2448, 0.1947)  2 O 1.83-1.84
I (0.6064, 0.2552, 0.8053)  2 O 1.83-1.84
I (0.3654, 0.5394, 0.0000)  2 O 1.89
I (0.6064, 0.2552, 0.1947)  2 O 1.83-1.84
I (0.1346, 0.0394, 0.0000)  2 O 1.89
I (0.9606, 0.1346, 0.5000)  2 O 1.89
I (0.7552, 0.1064, 0.3053)  2 O 1.83-1.84
I (0.0955, 0.4337, 0.5000)  2 O 1.89
I (0.1064, 0.2448, 0.8053)  2 O 1.83-1.84
I (0.9045, 0.5663, 0.5000)  2 O 1.89
I (0.4606, 0.3654, 0.5000)  2 O 1.89
I (0.5663, 0.0955, 0.0000)  2 O 1.89
I (0.7448, 0.6064, 0.3053)  2 O 1.83-1.84
I (0.5394, 0.6346, 0.5000)  2 O 1.89
I (0.2448, 0.8936, 0.6947)  2 O 1.83-1.84
I (0.9337, 0.5955, 0.0000)  2 O 1.89
I (0.3936, 0.7448, 0.1947)  2 O 1.83-1.84
I (0.2552, 0.3936, 0.3053)  2 O 1.83-1.84
I (0.3936, 0.7448, 0.8053)  2 O 1.83-1.84
I (0.4045, 0.9337, 0.5000)  2 O 1.89
I (0.8654, 0.9606, 0.0000)  2 O 1.89
I (0.6346, 0.4606, 0.0000)  2 O 1.89
I (0.4337, 0.9045, 0.0000)  2 O 1.89
I (0.8936, 0.7552, 0.1947)  2 O 1.83-1.84
I (0.7448, 0.6064, 0.6947)  2 O 1.83-1.84
I (0.2448, 0.8936, 0.3053)  2 O 1.83-1.84
I (0.8936, 0.7552, 0.8053)  2 O 1.83-1.84
Hg (0.7418, 0.3302, 0.5000)  4 O 3.48-3.53, 1 I 3.90
Hg (0.2582, 0.6698, 0.5000)  4 O 3.48-3.53, 1 I 3.90
Hg (0.2418, 0.1698, 0.5000)  4 O 3.48-3.53, 1 I 3.90
Hg (0.7582, 0.8302, 0.5000)  4 O 3.48-3.53, 1 I 3.90
Hg (0.3302, 0.2582, 0.0000)  4 O 3.48-3.53, 1 I 3.90
Hg (0.6698, 0.7418, 0.0000)  4 O 3.48-3.53, 1 I 3.90
Hg (0.1698, 0.7582, 0.0000)  4 O 3.48-3.53, 1 I 3.90
Hg (0.8302, 0.2418, 0.0000)  4 O 3.48-3.53, 1 I 3.90
Ca (0.0000, 0.5000, 0.7500)  8 O 2.51-2.69
Ca (0.5000, 0.0000, 0.7500)  8 O 2.51-2.69
Ca (0.0000, 0.0000, 0.7500)  8 O 2.44-2.53
Ca (0.5000, 0.0000, 0.2500)  8 O 2.51-2.69
Ca (0.5000, 0.5000, 0.7500)  8 O 2.44-2.53
Ca (0.0000, 0.0000, 0.2500)  8 O 2.44-2.53
Ca (0.5000, 0.5000, 0.2500)  8 O 2.44-2.53
Ca (0.0000, 0.5000, 0.2500)  8 O 2.51-2.69

Calculated values
**Total magnetic moment**: 0.00 μB/cell
**Space group**: P4_2/mbc (135)
**Energy of formation**: -81.82 kJ per mole of atoms
**Uncorrected energy**: -3.883 eV/atom

Entry 4:
DFT (GGA-PBE) results for a relaxed CaLaHg2 crystal.

Lattice parameters (Å, degrees): 5.4604 5.4604 5.4604 60.00 60.00 60.00
With the nearest neighbours (Å) after each atom.
Element x y z (fractional)
Hg (0.7500, 0.7500, 0.7500)  4 La 3.34, 4 Ca 3.34
Hg (0.2500, 0.2500, 0.2500)  4 La 3.34, 4 Ca 3.34
La (0.0000, 0.0000, 0.0000)  8 Hg 3.34
Ca (0.5000, 0.5000, 0.5000)  8 Hg 3.34

Calculated values
**Space group**: Fm-3m (225)
**Energy of formation**: -55.16 kJ per mole of atoms
**Uncorrected energy**: -2.459 eV/atom

Entry 5:
DFT (GGA-PBE) results for a relaxed CaLuHg2 crystal.

Lattice parameters (Å, degrees): 5.2372 5.2372 5.2372 60.00 60.00 60.00
With the nearest neighbours (Å) after each atom.
Element x y z (fractional)
Ca (0.5000, 0.5000, 0.5000)  8 Hg 3.21
Hg (0.2500, 0.2500, 0.2500)  4 Ca 3.21, 4 Lu 3.21
Hg (0.7500, 0.7500, 0.7500)  4 Ca 3.21, 4 Lu 3.21
Lu (0.0000, 0.0000, 0.0000)  8 Hg 3.21

Calculated values
**Space group**: Fm-3m (225)
**Energy of formation**: -48.53 kJ per mole of atoms
**Uncorrected energy**: -2.286 eV/atom

Entry 6:
DFT (GGA-PBE) results for a relaxed CaNdHg2 crystal.

Lattice parameters (Å, degrees): 5.3926 5.3926 5.3926 60.00 60.00 60.00
With the nearest neighbours (Å) after each atom.
Element x y z (fractional)
Hg (0.7500, 0.7500, 0.7500)  4 Ca 3.30, 4 Nd 3.30
Hg (0.2500, 0.2500, 0.2500)  4 Nd 3.30, 4 Ca 3.30
Ca (0.5000, 0.5000, 0.5000)  8 Hg 3.30
Nd (0.0000, 0.0000, 0.0000)  8 Hg 3.30

Calculated values
**Space group**: Fm-3m (225)
**Energy of formation**: -52.86 kJ per mole of atoms
**Uncorrected energy**: -2.393 eV/atom

Entry 7:
DFT (GGA-PBE) results for a relaxed CaHgO3 crystal.

Lattice parameters (Å, degrees): 4.1908 4.1908 4.1908 90.00 90.00 90.00
With the nearest neighbours (Å) after each atom.
Element x y z (fractional)
Hg (0.5000, 0.5000, 0.5000)  6 O 2.10
O (0.5000, 0.0000, 0.5000)  2 Hg 2.10
O (0.5000, 0.5000, 0.0000)  2 Hg 2.10
O (0.0000, 0.5000, 0.5000)  2 Hg 2.10
Ca (0.0000, 0.0000, 0.0000)  12 O 2.96

Calculated values
**Total magnetic moment**: 0.00 μB/cell
**Space group**: Pm-3m (221)
**Energy of formation**: -117.06 kJ per mole of atoms
**Uncorrected energy**: -4.232 eV/atom

Entry 8:
DFT (GGA-PBE) results for a relaxed CaHgO2 crystal.

Lattice parameters (Å, degrees): 3.6410 3.6410 6.6367 74.08 74.08 60.00
With the nearest neighbours (Å) after each atom.
Element x y z (fractional)
O (0.8939, 0.8939, 0.3182)  1 Hg 2.00
O (0.1061, 0.1061, 0.6818)  1 Hg 2.00
Hg (0.0000, 0.0000, 0.0000)  2 O 2.00
Ca (0.5000, 0.5000, 0.5000)  6 O 2.39

Calculated values
**Space group**: R-3m (166)
**Energy of formation**: -202.09 kJ per mole of atoms
**Uncorrected energy**: -4.802 eV/atom

Entry 9:
DFT (GGA-PBE) results for a relaxed CaSmHg2 crystal.

Lattice parameters (Å, degrees): 5.3596 5.3596 5.3596 60.00 60.00 60.00
With the nearest neighbours (Å) after each atom.
Element x y z (fractional)
Hg (0.2500, 0.2500, 0.2500)  4 Ca 3.28, 4 Sm 3.28
Hg (0.7500, 0.7500, 0.7500)  4 Ca 3.28, 4 Sm 3.28
Sm (0.0000, 0.0000, 0.0000)  8 Hg 3.28
Ca (0.5000, 0.5000, 0.5000)  8 Hg 3.28

Calculated values
**Space group**: Fm-3m (225)
**Energy of formation**: -52.37 kJ per mole of atoms
**Uncorrected energy**: -2.376 eV/atom

Entry 10:
DFT (GGA-PBE) results for a relaxed Ca2SnHg crystal.

Lattice parameters (Å, degrees): 5.4431 5.4431 5.4431 60.00 60.00 60.00
With the nearest neighbours (Å) after each atom.
Element x y z (fractional)
Hg (0.5000, 0.5000, 0.5000)  8 Ca 3.33
Ca (0.7500, 0.7500, 0.7500)  4 Hg 3.33, 4 Sn 3.33
Ca (0.2500, 0.2500, 0.2500)  4 Hg 3.33, 4 Sn 3.33
Sn (0.0000, 0.0000, 0.0000)  8 Ca 3.33

Calculated values
**Space group**: Fm-3m (225)
**Energy of formation**: -63.78 kJ per mole of atoms
**Uncorrected energy**: -2.742 eV/atom